ThGeSe | Materials Project | PBE-GGA | optimized geometry; SG = I4/mmm
1.0
7.105 1.105 5.794
3.559 -2.845 8.032
-3.886 -1.207 -8.289
Th Ge Se
2 2 2
Cartesian
1.420 -0.232 1.841 Th
9.244 -1.508 11.985 Th
-0.164 -2.026 -0.129 Ge
1.609 -0.051 -1.248 Ge
3.335 -0.544 4.323 Se
7.329 -1.196 9.502 Se

U8Pb3 | Materials Project | PBE-GGA | optimized geometry; SG = Pmn2_1
1.0
-3.173 -4.324 3.034
-1.795 5.997 6.671
-8.045 2.689 -4.582
U Pb
16 6
Cartesian
-4.163 2.580 5.771 U
-5.654 0.548 7.196 U
-3.304 -2.513 2.350 U
-10.743 4.117 4.019 U
-7.419 -0.490 0.929 U
-3.852 3.072 0.372 U
-4.789 3.785 3.515 U
-6.655 6.276 2.173 U
-9.166 1.265 -1.502 U
-10.741 -0.881 0.003 U
-6.357 3.055 0.835 U
-9.924 7.041 2.785 U
-1.996 0.950 2.396 U
-5.427 0.926 1.878 U
-8.146 4.244 3.599 U
-6.808 1.262 4.065 U
-2.959 -0.263 -0.340 Pb
-9.403 1.708 1.987 Pb
-5.837 1.021 -1.520 Pb
-7.198 3.329 6.605 Pb
-4.021 -0.413 4.593 Pb
-9.025 4.803 0.535 Pb

PaZnPt2 | Materials Project | PBE-GGA | optimized geometry; SG = Fm-3m
1.0
0.000 3.369 3.369
3.369 0.000 3.369
3.369 3.369 0.000
Pt Pa Zn
2 1 1
Cartesian
5.054 5.054 5.054 Pt
1.685 1.685 1.685 Pt
3.369 3.369 3.369 Pa
0.000 0.000 0.000 Zn

Nd2TeO2 | Materials Project | PBE-GGA | optimized geometry; SG = I4/mmm
1.0
-2.037 2.037 6.501
2.037 -2.037 6.501
2.037 2.037 -6.501
Nd Te O
2 1 2
Cartesian
0.000 0.000 4.419 Nd
0.000 0.000 8.583 Nd
0.000 0.000 0.000 Te
2.037 0.000 3.251 O
0.000 2.037 3.251 O

Mg3Al9FeSi5 | Materials Project | PBE-GGA | optimized geometry; SG = P-62m
1.0
1.137 -0.170 -6.534
-5.507 -2.744 2.481
-3.789 6.846 -0.837
Al Si Fe Mg
9 5 1 3
Cartesian
-4.033 4.593 -1.661 Al
-4.979 -0.533 1.676 Al
-7.078 3.259 1.212 Al
-2.072 -1.032 0.933 Al
-2.726 -1.818 -2.528 Al
-1.935 0.800 -1.197 Al
0.428 -0.064 -2.458 Al
-2.090 5.192 -5.556 Al
0.009 1.399 -5.092 Al
-6.180 3.331 -1.162 Si
-1.979 0.601 -3.728 Si
-3.965 4.189 -4.167 Si
-4.194 -0.257 -0.723 Si
-1.894 3.423 -0.419 Si
0.000 0.000 0.000 Fe
-1.419 3.352 -3.152 Mg
-4.436 1.728 -2.776 Mg
-4.198 2.275 0.619 Mg

TbGa | Materials Project | PBE-GGA | optimized geometry; SG = Cmcm
1.0
2.178 -5.481 0.000
2.178 5.481 0.000
0.000 0.000 4.095
Tb Ga
2 2
Cartesian
2.178 -3.953 3.071 Tb
2.178 3.953 1.024 Tb
2.178 -0.829 3.071 Ga
2.178 0.829 1.024 Ga

SiO2 | Materials Project | PBE-GGA | optimized geometry; SG = P4_2/mcm
1.0
8.234 0.000 0.000
0.000 8.234 0.000
0.000 0.000 5.561
O Si
16 8
Cartesian
0.000 1.947 1.390 O
6.044 2.190 2.780 O
0.000 4.117 0.000 O
4.117 0.000 0.000 O
4.117 0.000 2.780 O
0.000 1.947 4.171 O
0.000 6.287 4.171 O
6.287 0.000 1.390 O
2.190 2.190 0.000 O
6.287 0.000 4.171 O
1.947 0.000 1.390 O
0.000 6.287 1.390 O
0.000 4.117 2.780 O
1.947 0.000 4.171 O
6.044 6.044 0.000 O
2.190 6.044 2.780 O
5.650 7.667 0.000 Si
0.567 5.650 2.780 Si
0.567 2.584 0.000 Si
2.584 7.667 2.780 Si
5.650 0.567 2.780 Si
2.584 0.567 0.000 Si
7.667 2.584 2.780 Si
7.667 5.650 0.000 Si

Tb3Nd | Materials Project | PBE-GGA | optimized geometry; SG = P6_3/mmc
1.0
3.648 -6.319 0.000
3.648 6.319 0.000
0.000 0.000 5.770
Nd Tb
2 6
Cartesian
3.648 -2.106 1.442 Nd
3.648 2.106 4.327 Nd
3.648 4.227 1.442 Tb
5.485 1.046 1.442 Tb
1.812 1.046 1.442 Tb
5.485 -1.046 4.327 Tb
1.812 -1.046 4.327 Tb
3.648 -4.227 4.327 Tb

Pr2SbO5F | Materials Project | PBE-GGA | optimized geometry; piezoelectric modulus e_max = 0.44 C/m²; SG = P2_1
1.0
-2.561 -1.849 -5.900
2.732 -6.504 0.852
-8.334 -3.585 4.741
O Pr Sb F
20 8 4 4
Cartesian
-4.651 -4.671 0.494 O
-7.415 -4.056 0.033 O
0.086 -7.278 1.582 O
-0.592 -4.134 -2.935 O
0.770 -6.175 -1.617 O
-2.451 -8.534 1.997 O
-4.248 -7.797 -2.497 O
-1.817 -7.310 -0.794 O
-1.101 -4.762 0.131 O
-5.119 -3.741 3.316 O
-4.831 -9.283 3.358 O
-1.625 -6.679 -3.363 O
-6.854 -5.486 2.329 O
-7.023 -7.146 -0.346 O
-9.824 -6.405 -0.742 O
-6.758 -7.216 4.502 O
-4.433 -6.482 3.076 O
-3.164 -2.532 -3.276 O
-3.043 -4.958 -1.800 O
-5.606 -3.327 -2.060 O
-9.168 -5.311 1.325 Pr
1.932 -5.956 0.504 Pr
-6.404 -7.900 1.923 Pr
-3.435 -2.763 -0.517 Pr
-5.361 -5.725 -1.568 Pr
-2.799 -6.210 1.267 Pr
-5.387 -9.650 -1.307 Pr
-2.727 -4.736 -4.460 Pr
-2.338 -8.423 -2.491 Sb
-5.814 -5.508 4.152 Sb
-1.135 -5.552 -1.661 Sb
-6.131 -3.734 1.481 Sb
-7.161 -10.045 0.358 F
-2.480 -3.585 1.912 F
-4.597 -7.568 0.284 F
-1.140 -1.992 -0.983 F

ScH6Br3N2 | Materials Project | PBE-GGA | optimized geometry; SG = P-1
1.0
-3.440 0.814 -6.440
-6.048 -5.240 6.546
-1.697 11.183 2.499
H Br N Sc
24 12 8 4
Cartesian
-5.433 8.859 0.799 H
-5.492 0.983 4.635 H
-4.594 -0.999 2.197 H
-7.094 0.646 4.850 H
-5.503 3.711 2.626 H
-5.996 4.298 4.076 H
-6.251 6.860 6.545 H
-6.176 -0.544 2.147 H
-5.753 -2.102 1.805 H
-7.715 6.863 5.772 H
-3.471 -0.106 -3.167 H
-5.190 2.458 -1.472 H
-6.041 0.529 6.122 H
-4.935 -0.103 -3.941 H
-3.556 0.206 -4.788 H
-4.092 6.111 -2.245 H
-5.145 6.227 -3.517 H
-5.498 1.417 -0.243 H
-5.688 5.339 2.848 H
-5.694 5.774 -2.030 H
-7.630 6.551 7.393 H
-5.683 3.045 -0.021 H
-5.010 7.301 0.457 H
-6.592 7.755 0.408 H
-7.794 1.684 1.993 Br
-2.360 3.150 -2.444 Br
-3.392 5.073 0.612 Br
-4.512 7.541 3.985 Br
-9.781 -1.653 0.721 Br
-7.731 4.898 -0.077 Br
-8.493 6.806 3.122 Br
-1.405 8.410 1.884 Br
-2.693 -0.050 -0.517 Br
-3.455 1.858 2.681 Br
-8.826 3.607 5.048 Br
-6.674 -0.784 -1.380 Br
-6.101 4.423 3.064 N
-5.038 6.401 -2.510 N
-6.148 0.356 5.115 N
-5.645 8.062 0.178 N
-5.537 -4.055 4.145 N
-5.085 2.333 -0.459 N
-5.541 -1.305 2.427 N
-5.649 10.812 -1.540 N
-5.744 -1.841 4.642 Sc
-8.251 4.275 2.400 Sc
-5.442 8.598 -2.038 Sc
-2.935 2.482 0.205 Sc

ThCuO3 | Materials Project | PBE-GGA | optimized geometry; SG = Pm-3m
1.0
3.868 0.000 0.000
0.000 3.868 0.000
0.000 0.000 3.868
Th O Cu
1 3 1
Cartesian
0.000 0.000 0.000 Th
0.000 1.934 1.934 O
1.934 0.000 1.934 O
1.934 1.934 0.000 O
1.934 1.934 1.934 Cu

Cs2RbScBr6 | Materials Project | PBE-GGA | optimized geometry; SG = Fm-3m
1.0
0.000 5.948 5.948
5.948 0.000 5.948
5.948 5.948 0.000
Br Rb Cs Sc
6 1 2 1
Cartesian
5.948 2.665 5.948 Br
9.232 5.948 5.948 Br
5.948 5.948 9.232 Br
2.665 5.948 5.948 Br
5.948 5.948 2.665 Br
5.948 9.232 5.948 Br
5.948 5.948 5.948 Rb
2.974 2.974 2.974 Cs
8.923 8.923 8.923 Cs
0.000 0.000 0.000 Sc

| no. | energy of formation from the pure elements (eV per formula unit) |
| --- | --- |
| 1 | -4.34 |
| 2 | 3.75 |
| 3 | -3.12 |
| 4 | -15.79 |
| 5 | -1.75 |
| 6 | -1.26 |
| 7 | -9.20 |
| 8 | 0.10 |
| 9 | -29.12 |
| 10 | -11.37 |
| 11 | -12.34 |
| 12 | -21.09 |